Record 1
ScPPt | the Materials Project database | PBE | optimized geometry; SG = No. 62; DFT total energy = -86.17 eV per cell; energy of formation = -1242 meV/atom
1.0
6.645 0.000 0.000
0.000 3.859 0.000
0.000 0.000 7.483
Sc P Pt
4 4 4
direct
0.032 0.250 0.181 Sc
0.468 0.750 0.681 Sc
0.532 0.250 0.319 Sc
0.968 0.750 0.819 Sc
0.245 0.250 0.875 P
0.255 0.750 0.375 P
0.745 0.250 0.625 P
0.755 0.750 0.125 P
0.152 0.250 0.562 Pt
0.348 0.750 0.062 Pt
0.652 0.250 0.938 Pt
0.848 0.750 0.438 Pt

---

Record 2
Sm2P3Pt6 | the Materials Project database | PBE | optimized geometry; SG = No. 141; size of the total moment = 0.000 μB/f.u.; DFT total energy = -145.99 eV per cell; energy of formation = -990 meV/atom
1.0
-2.064 2.064 23.046
2.064 -2.064 23.046
2.064 2.064 -23.046
Sm P Pt
4 6 12
direct
0.076 0.326 0.750 Sm
0.326 0.076 0.250 Sm
0.674 0.924 0.750 Sm
0.924 0.674 0.250 Sm
0.200 0.450 0.750 P
0.375 0.625 0.750 P
0.450 0.200 0.250 P
0.550 0.800 0.750 P
0.625 0.375 0.250 P
0.800 0.550 0.250 P
0.025 0.775 0.250 Pt
0.149 0.399 0.750 Pt
0.225 0.975 0.250 Pt
0.273 0.523 0.750 Pt
0.399 0.149 0.250 Pt
0.477 0.727 0.750 Pt
0.523 0.273 0.250 Pt
0.601 0.851 0.750 Pt
0.727 0.477 0.250 Pt
0.775 0.025 0.750 Pt
0.851 0.601 0.250 Pt
0.975 0.225 0.750 Pt